[1]
A relaxed V6O7F5 crystal, computed with PBE+U.

Cell lengths 4.6454, 5.6290, 7.8112 Å; angles 87.05, 89.13, 89.14 degrees
Space group P1 (No. 1)
Asymmetric unit:
1 V 0.0000 0.0000 0.0000 x1
2 V 0.9999 0.3290 0.6739 x1
3 V 0.0124 0.6598 0.3746 x1
4 V 0.4897 0.5115 0.0326 x1
5 V 0.5144 0.8345 0.6830 x1
6 V 0.5457 0.1816 0.3336 x1
7 O 0.2105 0.6226 0.5856 x1
8 O 0.2964 0.4860 0.2502 x1
9 O 0.3218 0.8020 0.9139 x1
10 O 0.7118 0.2147 0.1051 x1
11 O 0.7263 0.8704 0.4412 x1
12 O 0.8113 0.3789 0.4505 x1
13 O 0.8199 0.0386 0.7723 x1
14 F 0.2104 0.9744 0.2469 x1
15 F 0.2117 0.3021 0.9056 x1
16 F 0.3179 0.1332 0.5675 x1
17 F 0.7124 0.5327 0.7951 x1
18 F 0.8164 0.7065 0.1236 x1

Energy above the lowest structure with this stoichiometry = 12 meV/atom
Electronic total energy = -0.534 Ry per atom

=====

[2]
A relaxed V2OF5 crystal, computed with PBE+U.

Cell lengths 8.4747, 4.8756, 4.5869 Å; angles 90.00, 91.59, 90.00 degrees
Space group C2 (No. 5)
Asymmetric unit:
1 V 0.1567 0.0000 0.2357 x4
2 O 0.0000 0.8920 0.0000 x2
3 F 0.0000 0.1536 0.5000 x2
4 F 0.1800 0.3338 0.9968 x4
5 F 0.1817 0.6930 0.4987 x4

Energy above the lowest structure with this stoichiometry = 70 meV/atom
Electronic total energy = -0.460 Ry per atom

=====

[3]
A relaxed V3OF7 crystal, computed with PBE+U.

Cell lengths 4.0249, 7.9624, 10.0067 Å; angles 89.93, 89.44, 75.55 degrees
Space group P1 (No. 1)
Asymmetric unit:
1 V 0.0000 0.0000 0.0000 x1
2 V 0.0034 0.0002 0.3547 x1
3 V 0.6418 0.7140 0.4999 x1
4 V 0.6452 0.7148 0.8546 x1
5 V 0.7844 0.4377 0.1769 x1
6 V 0.8599 0.2767 0.6771 x1
7 O 0.0340 0.9368 0.1771 x1
8 O 0.6123 0.7777 0.6770 x1
9 F 0.1232 0.7543 0.4603 x1
10 F 0.1228 0.7573 0.8931 x1
11 F 0.2850 0.4334 0.1763 x1
12 F 0.3595 0.2817 0.6767 x1
13 F 0.5221 0.9594 0.9608 x1
14 F 0.5232 0.9579 0.3940 x1
15 F 0.6815 0.6226 0.0415 x1
16 F 0.6949 0.6194 0.3118 x1
17 F 0.7721 0.4638 0.5430 x1
18 F 0.7765 0.4651 0.8109 x1
19 F 0.8614 0.2508 0.0437 x1
20 F 0.8835 0.2491 0.3112 x1
21 F 0.9478 0.0919 0.5427 x1
22 F 0.9675 0.0939 0.8123 x1

Energy above the lowest structure with this stoichiometry = 8 meV/atom
Electronic total energy = -0.466 Ry per atom

=====

[4]
A relaxed V6O5F19 crystal, computed with PBE+U.

Cell lengths 5.2930, 5.4926, 14.7639 Å; angles 79.62, 89.89, 89.19 degrees
Space group P1 (No. 1)
Asymmetric unit:
1 V 0.0000 0.0000 0.0000 x1
2 V 0.0041 0.3435 0.3337 x1
3 V 0.4911 0.0828 0.6728 x1
4 V 0.5158 0.4725 0.0032 x1
5 V 0.5474 0.8477 0.3330 x1
6 V 0.9824 0.5939 0.6658 x1
7 O 0.3167 0.8405 0.6899 x1
8 O 0.7332 0.0898 0.3116 x1
9 O 0.7448 0.4264 0.6490 x1
10 O 0.8118 0.5875 0.3130 x1
11 O 0.8197 0.2506 0.9802 x1
12 F 0.1065 0.3133 0.2217 x1
13 F 0.1166 0.6704 0.5543 x1
14 F 0.1215 0.9881 0.8890 x1
15 F 0.2266 0.6470 0.0263 x1
16 F 0.2353 0.3262 0.6966 x1
17 F 0.2472 0.9838 0.3601 x1
18 F 0.2965 0.4804 0.3611 x1
19 F 0.3070 0.1555 0.0286 x1
20 F 0.4402 0.8147 0.2222 x1
21 F 0.4500 0.4856 0.8852 x1
22 F 0.4535 0.1971 0.5534 x1
23 F 0.6048 0.7273 0.4509 x1
24 F 0.6167 0.4112 0.1192 x1
25 F 0.6204 0.0815 0.7840 x1
26 F 0.7268 0.7710 0.9770 x1
27 F 0.8027 0.9147 0.6424 x1
28 F 0.9429 0.2214 0.4510 x1
29 F 0.9465 0.8924 0.1186 x1
30 F 0.9594 0.6010 0.7853 x1

Energy above the lowest structure with this stoichiometry = 9 meV/atom
Electronic total energy = -0.429 Ry per atom

=====

[5]
A relaxed VOF2 crystal, computed with PBE+U.

Cell lengths 5.1958, 5.2376, 13.3890 Å; angles 88.76, 89.34, 60.28 degrees
Space group P-1 (No. 2)
Asymmetric unit:
1 V 0.0000 0.0000 0.0000 x1
2 V 0.0000 0.0000 0.5000 x1
3 V 0.3014 0.3329 0.3370 x2
4 V 0.3794 0.3495 0.8332 x2
5 O 0.0877 0.2522 0.4124 x2
6 O 0.3360 0.7526 0.0862 x2
7 O 0.4327 0.5699 0.7527 x2
8 F 0.0219 0.3984 0.7523 x2
9 F 0.0859 0.6473 0.9141 x2
10 F 0.2556 0.0796 0.9133 x2
11 F 0.2638 0.6616 0.4167 x2
12 F 0.3336 0.9304 0.5888 x2
13 F 0.4008 0.0038 0.2447 x2

Electronic total energy = -0.476 Ry per atom

=====

[6]
A relaxed V2O3F crystal, computed with PBE+U.

Cell lengths 6.0272, 6.4111, 6.9051 Å; angles 90.00, 90.00, 90.00 degrees
Space group Imma (No. 74)
Asymmetric unit:
1 V 0.0000 0.2500 0.2045 x4
2 V 0.2500 0.2500 0.7500 x4
3 O 0.0000 0.2500 0.9449 x4
4 O 0.2500 0.0578 0.2500 x8
5 F 0.0000 0.2500 0.5485 x4

Energy above the lowest structure with this stoichiometry = 1 meV/atom
Electronic total energy = -0.551 Ry per atom

=====

[7]
A relaxed V3O4F2 crystal, computed with PBE+U.

Cell lengths 4.6599, 5.5447, 7.7305 Å; angles 94.36, 90.62, 90.16 degrees
Space group P-1 (No. 2)
Asymmetric unit:
1 V 0.0000 0.0000 0.0000 x1
2 V 0.0005 0.3316 0.3165 x2
3 V 0.4600 0.8507 0.3477 x2
4 V 0.5000 0.5000 0.0000 x1
5 O 0.1996 0.0366 0.2257 x2
6 O 0.2075 0.6975 0.9133 x2
7 O 0.2939 0.8667 0.5739 x2
8 O 0.3119 0.5404 0.2345 x2
9 F 0.1988 0.3613 0.5623 x2
10 F 0.3024 0.2039 0.8898 x2

Energy above the lowest structure with this stoichiometry = 33 meV/atom
Electronic total energy = -0.541 Ry per atom

=====

[8]
A relaxed V4O7F5 crystal, computed with PBE+U.

Cell lengths 5.2806, 5.2878, 9.0396 Å; angles 73.67, 89.16, 60.79 degrees
Space group P1 (No. 1)
Asymmetric unit:
1 V 0.0000 0.0000 0.0000 x1
2 V 0.1845 0.4911 0.7366 x1
3 V 0.4111 0.9938 0.5021 x1
4 V 0.6905 0.4767 0.2418 x1
5 O 0.1353 0.2283 0.3566 x1
6 O 0.1481 0.2211 0.9233 x1
7 O 0.2939 0.2216 0.6371 x1
8 O 0.3171 0.7285 0.6009 x1
9 O 0.3290 0.7177 0.1762 x1
10 O 0.7841 0.2295 0.1398 x1
11 O 0.8321 0.7138 0.6703 x1
12 F 0.1980 0.7004 0.8879 x1
13 F 0.6410 0.2313 0.4261 x1
14 F 0.6600 0.1984 0.8506 x1
15 F 0.6714 0.7407 0.3855 x1
16 F 0.8251 0.7185 0.1055 x1

Energy above the lowest structure with this stoichiometry = 0 meV/atom
Electronic total energy = -0.494 Ry per atom

=====

[9]
A relaxed V3O4F2 crystal, computed with PBE+U.

Cell lengths 5.1642, 5.6236, 8.8768 Å; angles 72.84, 74.93, 63.99 degrees
Space group P1 (No. 1)
Asymmetric unit:
1 V 0.0000 0.0000 0.0000 x1
2 V 0.0072 0.3199 0.6547 x1
3 V 0.1924 0.3365 0.2492 x1
4 V 0.4789 0.5377 0.4960 x1
5 V 0.5089 0.8128 0.1427 x1
6 V 0.6774 0.8670 0.7346 x1
7 O 0.2133 0.1484 0.0874 x1
8 O 0.2529 0.3553 0.4534 x1
9 O 0.2607 0.6550 0.1186 x1
10 O 0.2716 0.0060 0.7928 x1
11 O 0.6703 0.6669 0.6020 x1
12 O 0.7415 0.1599 0.6223 x1
13 O 0.7412 0.5310 0.2867 x1
14 O 0.7572 0.8292 0.9458 x1
15 F 0.1457 0.5942 0.6897 x1
16 F 0.2418 0.9092 0.3726 x1
17 F 0.6658 0.0693 0.1897 x1
18 F 0.7612 0.3594 0.8799 x1

Energy above the lowest structure with this stoichiometry = 68 meV/atom
Electronic total energy = -0.538 Ry per atom

=====

[10]
A relaxed V6O7F5 crystal, computed with PBE+U.

Cell lengths 4.7527, 5.5991, 7.7778 Å; angles 84.98, 89.13, 87.14 degrees
Space group P1 (No. 1)
Asymmetric unit:
1 V 0.0000 0.0000 0.0000 x1
2 V 0.0019 0.3149 0.6612 x1
3 V 0.0355 0.6620 0.3247 x1
4 V 0.4853 0.1355 0.3179 x1
5 V 0.5221 0.4777 0.9990 x1
6 V 0.5626 0.8485 0.6513 x1
7 O 0.2106 0.9471 0.2193 x1
8 O 0.3167 0.4535 0.2213 x1
9 O 0.3240 0.1092 0.5730 x1
10 O 0.7042 0.5475 0.7551 x1
11 O 0.7076 0.1883 0.0918 x1
12 O 0.7232 0.8520 0.4292 x1
13 O 0.8236 0.0354 0.7610 x1
14 F 0.2084 0.2931 0.8942 x1
15 F 0.2181 0.6178 0.5636 x1
16 F 0.3174 0.7935 0.8926 x1
17 F 0.8177 0.3560 0.4237 x1
18 F 0.8201 0.6869 0.0930 x1

Energy above the lowest structure with this stoichiometry = 11 meV/atom
Electronic total energy = -0.535 Ry per atom

=====

[11]
A relaxed VOF3 crystal, computed with PBE+U.

Cell lengths 5.4745, 5.4966, 10.4353 Å; angles 89.20, 89.40, 60.46 degrees
Space group P-1 (No. 2)
Asymmetric unit:
1 V 0.0000 0.0000 0.0000 x1
2 V 0.0000 0.0000 0.5000 x1
3 V 0.4310 0.0001 0.2441 x2
4 O 0.1691 0.0669 0.3520 x2
5 O 0.3077 0.9335 0.1053 x2
6 F 0.1597 0.6416 0.4585 x2
7 F 0.1655 0.0743 0.8608 x2
8 F 0.1712 0.6404 0.9583 x2
9 F 0.3118 0.9250 0.5945 x2
10 F 0.3164 0.3399 0.7066 x2
11 F 0.3694 0.3420 0.2112 x2

Electronic total energy = -0.430 Ry per atom

=====

[12]
A relaxed V2OF5 crystal, computed with PBE+U.

Cell lengths 5.2526, 5.2526, 13.4981 Å; angles 90.00, 90.00, 120.00 degrees
Space group P3_121 (No. 152)
Asymmetric unit:
1 V 0.0137 0.3235 0.4209 x6
2 O 0.0000 0.8904 0.1667 x3
3 F 0.0000 0.7408 0.6667 x3
4 F 0.0719 0.6590 0.9945 x6
5 F 0.2765 0.6857 0.4970 x6

Energy above the lowest structure with this stoichiometry = 18 meV/atom
Electronic total energy = -0.464 Ry per atom

=====

[13]
A relaxed V3O4F2 crystal, computed with PBE+U.

Cell lengths 4.7374, 4.7153, 10.0122 Å; angles 90.00, 116.46, 90.00 degrees
Space group P2_1/c (No. 14)
Asymmetric unit:
1 V 0.0000 0.0000 0.0000 x2
2 V 0.3802 0.0229 0.3460 x4
3 O 0.2915 0.1991 0.4956 x4
4 O 0.3612 0.6830 0.6714 x4
5 F 0.0316 0.7127 0.3287 x4

Energy above the lowest structure with this stoichiometry = 23 meV/atom
Electronic total energy = -0.542 Ry per atom

=====

[14]
A relaxed V3O4F4 crystal, computed with PBE+U.

Cell lengths 4.7912, 2.9999, 9.6741 Å; angles 90.00, 90.67, 90.00 degrees
Space group Pm (No. 6)
Asymmetric unit:
1 V 0.0000 0.0000 0.0000 x1
2 V 0.0864 0.5000 0.7328 x1
3 V 0.5134 0.5000 0.2242 x1
4 O 0.2071 0.5000 0.0889 x1
5 O 0.2435 0.0000 0.8358 x1
6 O 0.6945 0.0000 0.1317 x1
7 O 0.8366 0.5000 0.8963 x1
8 F 0.3042 0.0000 0.3084 x1
9 F 0.3269 0.5000 0.5965 x1
10 F 0.7433 0.5000 0.3684 x1
11 F 0.8616 0.0000 0.6564 x1

Electronic total energy = -0.496 Ry per atom

=====

[15]
A relaxed V6O7F5 crystal, computed with PBE+U.

Cell lengths 9.1450, 6.4671, 6.9700 Å; angles 90.00, 90.00, 90.00 degrees
Space group Amm2 (No. 38)
Asymmetric unit:
1 V 0.0000 0.0000 0.0000 x2
2 V 0.1593 0.0000 0.4587 x4
3 V 0.3322 0.0000 0.9658 x4
4 V 0.5000 0.0000 0.4684 x2
5 O 0.0000 0.0000 0.2707 x2
6 O 0.1609 0.1972 0.9722 x8
7 O 0.5000 0.2002 0.9664 x4
8 F 0.0000 0.0000 0.6672 x2
9 F 0.3307 0.0000 0.6625 x4
10 F 0.3334 0.0000 0.2700 x4

Energy above the lowest structure with this stoichiometry = 23 meV/atom
Electronic total energy = -0.534 Ry per atom

=====

[16]
A relaxed V6O5F19 crystal, computed with PBE+U.

Cell lengths 5.3919, 5.5565, 14.8596 Å; angles 79.36, 89.48, 87.10 degrees
Space group P1 (No. 1)
Asymmetric unit:
1 V 0.0000 0.0000 0.0000 x1
2 V 0.0166 0.5954 0.6650 x1
3 V 0.4197 0.7402 0.3339 x1
4 V 0.4742 0.4570 0.0055 x1
5 V 0.5246 0.1355 0.6767 x1
6 V 0.9274 0.2287 0.3412 x1
7 O 0.1675 0.2410 0.9798 x1
8 O 0.1944 0.5753 0.3168 x1
9 O 0.2481 0.3994 0.6500 x1
10 O 0.7464 0.3128 0.6944 x1
11 O 0.7572 0.9957 0.3585 x1
12 F 0.0124 0.5622 0.7856 x1
13 F 0.0364 0.8831 0.1179 x1
14 F 0.0528 0.2321 0.4511 x1
15 F 0.1661 0.8809 0.6444 x1
16 F 0.2360 0.0623 0.3102 x1
17 F 0.2608 0.7604 0.9801 x1
18 F 0.3618 0.3860 0.1190 x1
19 F 0.3650 0.0596 0.7826 x1
20 F 0.3962 0.7538 0.4520 x1
21 F 0.5208 0.1593 0.5564 x1
22 F 0.5258 0.4718 0.8869 x1
23 F 0.5553 0.8227 0.2240 x1
24 F 0.6758 0.8282 0.6932 x1
25 F 0.6768 0.4793 0.3653 x1
26 F 0.6852 0.1450 0.0287 x1
27 F 0.7448 0.6190 0.0297 x1
28 F 0.8622 0.6479 0.5580 x1
29 F 0.8731 0.9707 0.8935 x1
30 F 0.8885 0.3522 0.2232 x1

Energy above the lowest structure with this stoichiometry = 5 meV/atom
Electronic total energy = -0.429 Ry per atom

=====

| no. | formation energy from the elements (meV/atom) |
| --- | --- |
| 1 | -2749 |
| 2 | -2974 |
| 3 | -3014 |
| 4 | -2731 |
| 5 | -2835 |
| 6 | -2669 |
| 7 | -2683 |
| 8 | -2556 |
| 9 | -2648 |
| 10 | -2751 |
| 11 | -2649 |
| 12 | -3027 |
| 13 | -2694 |
| 14 | -2658 |
| 15 | -2739 |
| 16 | -2734 |